UGa5Ir: relaxed, r²SCAN.

Calculated values
Size of the total moment = 2.3 μB per cell
Formation energy from the elements = -534.2 meV per atom
Space-group type = P4/mmm (123)

Lattice parameters (Å, degrees): 4.3126 4.3126 6.8608 90.00 90.00 90.00
Atoms (fractional coordinates):
U (0.0000, 0.0000, 0.0000)
Ga (0.0000, 0.5000, 0.3027)
Ga (0.0000, 0.5000, 0.6973)
Ga (0.5000, 0.0000, 0.3027)
Ga (0.5000, 0.0000, 0.6973)
Ga (0.5000, 0.5000, 0.0000)
Ir (0.0000, 0.0000, 0.5000)